This record from Materials Project describes a relaxed Na2YNbSiP2O12 crystal. The functional is PBE-GGA.

```
Na2YNbSiP2O12
1.0
9.1290 0.0425 0.0259
-4.5277 7.9272 -0.0259
0.0673 -0.0389 22.8089
O Na P Nb Si Y
72 12 12 6 6 6
Direct
0.0040 0.8172 0.4125 O
0.8012 0.8372 0.1942 O
0.5434 0.6695 0.9710 O
0.5236 0.1493 0.9242 O
0.8764 0.3338 0.6387 O
0.4754 0.1721 0.5272 O
0.7970 0.9727 0.6882 O
0.8648 0.3561 0.2476 O
0.1200 0.4560 0.9785 O
0.1906 0.1433 0.0863 O
0.2865 0.8124 0.2511 O
0.2081 0.1867 0.8017 O
0.2065 0.9930 0.3110 O
0.8686 0.5381 0.7471 O
0.6662 0.1236 0.1387 O
0.0301 0.8379 0.7007 O
0.9926 0.1992 0.3057 O
0.8629 0.0545 0.0827 O
0.1628 0.1988 0.6942 O
0.9985 0.2039 0.9143 O
0.1356 0.6341 0.3567 O
0.3305 0.4566 0.4710 O
0.5439 0.6786 0.5765 O
0.7961 0.0015 0.4143 O
0.1621 0.9699 0.2007 O
0.0273 0.2030 0.1882 O
0.2761 0.4682 0.7554 O
0.6993 0.5357 0.5286 O
0.4643 0.3007 0.0286 O
0.9668 0.8204 0.0909 O
0.8279 0.5246 0.0272 O
0.6972 0.1644 0.0292 O
0.1556 0.6933 0.4696 O
0.1962 0.4883 0.2544 O
0.1390 0.6503 0.0820 O
0.5237 0.3763 0.4185 O
0.4601 0.3339 0.7402 O
0.1876 0.7135 0.7511 O
0.6439 0.1352 0.7476 O
0.6128 0.1381 0.4198 O
0.5078 0.6357 0.8611 O
0.0070 0.7935 0.8110 O
0.1795 0.0332 0.5909 O
0.1350 0.4533 0.5774 O
0.4602 0.3357 0.1386 O
0.9455 0.1371 0.5827 O
0.8008 0.0074 0.8057 O
0.2127 0.1958 0.4095 O
0.4619 0.1314 0.2471 O
0.8507 0.4764 0.4242 O
0.4734 0.1324 0.6434 O
0.6643 0.5398 0.6386 O
0.3659 0.8644 0.8567 O
0.1418 0.5052 0.8682 O
0.8133 0.7919 0.3017 O
0.8676 0.5266 0.1434 O
0.3643 0.4922 0.3611 O
0.3214 0.4561 0.0765 O
0.6661 0.5399 0.2402 O
0.6237 0.4763 0.9185 O
0.1828 0.9960 0.9125 O
0.5117 0.8038 0.7544 O
0.8567 0.8094 0.5863 O
0.5467 0.8650 0.0774 O
0.3497 0.8610 0.5820 O
0.8042 0.7873 0.9095 O
0.8356 0.3028 0.5292 O
0.8619 0.3872 0.9198 O
0.3067 0.8444 0.9696 O
0.5318 0.7239 0.2554 O
0.4948 0.8582 0.3682 O
0.5440 0.8800 0.4785 O
0.3038 0.6339 0.6647 Na
0.3558 0.0149 0.7413 Na
0.3107 0.0000 0.4160 Na
0.6810 0.3224 0.3326 Na
0.0311 0.3529 0.0839 Na
0.0000 0.6893 0.9160 Na
0.3661 0.6962 0.1647 Na
0.9851 0.6442 0.2413 Na
0.0176 0.0087 0.9984 Na
0.6471 0.9689 0.5839 Na
0.9913 0.9824 0.4984 Na
0.6776 0.3190 0.8326 Na
0.9535 0.3137 0.5825 P
0.0156 0.7149 0.7535 P
0.6995 0.7195 0.2489 P
0.6215 0.6474 0.9161 P
0.6863 0.0465 0.0825 P
0.3625 0.3142 0.0836 P
0.0353 0.3849 0.9199 P
0.2805 0.3005 0.7489 P
0.6151 0.9647 0.4199 P
0.2851 0.9844 0.2535 P
0.6858 0.6375 0.5836 P
0.3526 0.3785 0.4161 P
0.0010 0.9985 0.1474 Nb
0.0015 0.9990 0.6474 Nb
0.6693 0.3394 0.4807 Nb
0.6606 0.3307 0.9807 Nb
0.3475 0.6749 0.8139 Nb
0.3251 0.6525 0.3139 Nb
0.3444 0.9703 0.9168 Si
0.3679 0.0451 0.5857 Si
0.0297 0.6556 0.4168 Si
0.9549 0.6321 0.0857 Si
0.0099 0.3037 0.2487 Si
0.6963 0.9901 0.7487 Si
0.9892 0.0047 0.3542 Y
0.9953 0.0108 0.8542 Y
0.6586 0.3254 0.1876 Y
0.3399 0.6751 0.0209 Y
0.3249 0.6601 0.5209 Y
0.6746 0.3414 0.6876 Y
```

Results
Total magnetization, μB/cell: 0.0
Total DFT energy (no corrections), eV/atom: -7.55
Symmetry: Cc, No. 9

This record from Materials Project describes a relaxed Rb4SnS4 crystal. The functional is PBE-GGA.

```
Rb4SnS4
1.0
-1.9639 8.7064 10.3613
-4.6344 -10.2695 7.7508
12.7154 -2.3983 4.4253
S Rb Sn
32 32 8
Direct
0.9019 0.6117 0.6535 S
0.6021 0.3979 0.6021 S
0.6117 0.6535 0.9019 S
0.8883 0.4019 0.8465 S
0.1021 0.1021 0.8979 S
0.9019 0.3883 0.3465 S
0.8465 0.8883 0.4019 S
0.6117 0.3465 0.0981 S
0.3465 0.9019 0.3883 S
0.0981 0.3883 0.6535 S
0.3883 0.6535 0.0981 S
0.0981 0.6117 0.3465 S
0.1535 0.1117 0.4019 S
0.4019 0.8465 0.8883 S
0.1117 0.4019 0.1535 S
0.6535 0.9019 0.6117 S
0.6535 0.0981 0.3883 S
0.6021 0.6021 0.3979 S
0.3979 0.3979 0.3979 S
0.3979 0.6021 0.6021 S
0.8979 0.1021 0.1021 S
0.3883 0.3465 0.9019 S
0.1117 0.5981 0.8465 S
0.8979 0.8979 0.8979 S
0.1535 0.8883 0.5981 S
0.5981 0.1535 0.8883 S
0.1021 0.8979 0.1021 S
0.3465 0.0981 0.6117 S
0.4019 0.1535 0.1117 S
0.8883 0.5981 0.1535 S
0.8465 0.1117 0.5981 S
0.5981 0.8465 0.1117 S
0.3634 0.5841 0.8474 Rb
0.6540 0.6540 0.6540 Rb
0.3474 0.9159 0.1366 Rb
0.4159 0.8474 0.6366 Rb
0.8460 0.8460 0.1540 Rb
0.9159 0.8634 0.6526 Rb
0.6526 0.9159 0.8634 Rb
0.4159 0.1526 0.3634 Rb
0.3460 0.6540 0.3460 Rb
0.5841 0.1526 0.6366 Rb
0.0841 0.1366 0.6526 Rb
0.8474 0.6366 0.4159 Rb
0.1526 0.6366 0.5841 Rb
0.8634 0.6526 0.9159 Rb
0.1540 0.1540 0.1540 Rb
0.5841 0.8474 0.3634 Rb
0.1526 0.3634 0.4159 Rb
0.6366 0.4159 0.8474 Rb
0.9159 0.1366 0.3474 Rb
0.0841 0.8634 0.3474 Rb
0.8460 0.1540 0.8460 Rb
0.6526 0.0841 0.1366 Rb
0.8634 0.3474 0.0841 Rb
0.6366 0.5841 0.1526 Rb
0.3474 0.0841 0.8634 Rb
0.1366 0.6526 0.0841 Rb
0.1540 0.8460 0.8460 Rb
0.6540 0.3460 0.3460 Rb
0.3460 0.3460 0.6540 Rb
0.3634 0.4159 0.1526 Rb
0.1366 0.3474 0.9159 Rb
0.8474 0.3634 0.5841 Rb
0.0000 0.5000 0.7500 Sn
0.5000 0.7500 0.0000 Sn
0.0000 0.0000 0.0000 Sn
0.7500 0.0000 0.5000 Sn
0.2500 0.0000 0.5000 Sn
0.5000 0.2500 0.0000 Sn
0.5000 0.5000 0.5000 Sn
0.0000 0.5000 0.2500 Sn
```

Results
Total DFT energy (no corrections), eV/atom: -3.75
Symmetry: P-43n, No. 218

This record from Materials Project describes a relaxed BaMgTiB2O6 crystal. The functional is PBE-GGA.

```
BaMgTiB2O6
1.0
-4.2292 -5.5922 1.6973
0.0148 -5.5365 4.6245
-3.8627 -2.2947 5.6439
O Mg B Ba Ti
6 1 2 1 1
Direct
0.9334 0.4162 0.3693 O
0.0431 0.5006 0.7638 O
0.3693 0.9334 0.4162 O
0.5006 0.7638 0.0431 O
0.7638 0.0431 0.5006 O
0.4162 0.3693 0.9334 O
0.1280 0.1280 0.1280 Mg
0.2438 0.2438 0.2438 B
0.7687 0.7687 0.7687 B
0.9577 0.9577 0.9577 Ba
0.5004 0.5004 0.5004 Ti
```

Results
Total magnetization, μB/cell: 2.0
Total DFT energy (no corrections), eV/atom: -7.34
Symmetry: R3, No. 146

This record from Materials Project describes a relaxed KTeO4 crystal. The functional is PBE-GGA.

```
KTeO4
1.0
5.7681 4.1136 0.0000
-5.7681 4.1136 0.0000
0.0000 3.1006 4.1444
Te O K
2 8 2
Direct
0.9237 0.0763 0.7500 Te
0.0763 0.9237 0.2500 Te
0.6274 0.0006 0.7841 O
0.7874 0.8876 0.2223 O
0.3726 0.9994 0.2159 O
0.1124 0.2126 0.2777 O
0.0006 0.6274 0.2841 O
0.8876 0.7874 0.7223 O
0.2126 0.1124 0.7777 O
0.9994 0.3726 0.7159 O
0.3383 0.6617 0.7500 K
0.6617 0.3383 0.2500 K
```

Results
Total magnetization, μB/cell: 2.0
Total DFT energy (no corrections), eV/atom: -5.01
Symmetry: C2/c, No. 15

This record from Materials Project describes a relaxed Sn2Bi2O7 crystal. The functional is PBE-GGA.

```
Sn2Bi2O7
1.0
0.0000 5.3722 5.3722
5.3722 0.0000 5.3722
5.3722 5.3722 0.0000
Bi O Sn
4 14 4
Direct
0.1250 0.6250 0.1250 Bi
0.6250 0.1250 0.1250 Bi
0.1250 0.1250 0.1250 Bi
0.1250 0.1250 0.6250 Bi
0.5426 0.5426 0.9574 O
0.2926 0.7074 0.7074 O
0.0000 0.0000 0.0000 O
0.2926 0.2926 0.7074 O
0.9574 0.9574 0.5426 O
0.7074 0.2926 0.7074 O
0.7074 0.7074 0.2926 O
0.5426 0.9574 0.9574 O
0.9574 0.5426 0.5426 O
0.7074 0.2926 0.2926 O
0.2500 0.2500 0.2500 O
0.5426 0.9574 0.5426 O
0.9574 0.5426 0.9574 O
0.2926 0.7074 0.2926 O
0.1250 0.6250 0.6250 Sn
0.6250 0.6250 0.6250 Sn
0.6250 0.6250 0.1250 Sn
0.6250 0.1250 0.6250 Sn
```

Results
Energy relative to the lowest polymorph listed for this composition, meV per atom: 12
Symmetry: Fd-3m, No. 227

This record from Materials Project describes a relaxed K2Li3BP4O14 crystal. The functional is PBE-GGA.

```
K2Li3BP4O14
1.0
7.0846 -12.1992 0.0000
7.0846 12.1992 0.0000
0.0000 0.0000 7.0005
O P K Li B
56 16 8 12 4
Direct
0.0186 0.6316 0.3976 O
0.2918 0.7918 0.7500 O
0.8684 0.4814 0.8976 O
0.7890 0.4432 0.5539 O
0.6316 0.0186 0.3976 O
0.1764 0.3618 0.7835 O
0.5014 0.6674 0.0133 O
0.0165 0.1354 0.1300 O
0.3380 0.6444 0.1731 O
0.6674 0.5014 0.0133 O
0.3236 0.1382 0.2835 O
0.0568 0.7110 0.0539 O
0.1687 0.1687 0.3708 O
0.1620 0.8556 0.6731 O
0.8646 0.9835 0.8700 O
0.8236 0.6382 0.2165 O
0.8556 0.1620 0.6731 O
0.6764 0.8618 0.7165 O
0.8380 0.1444 0.3269 O
0.1316 0.5186 0.1024 O
0.4835 0.3646 0.6300 O
0.5568 0.2110 0.4461 O
0.6382 0.8236 0.2165 O
0.3646 0.4835 0.6300 O
0.7110 0.0568 0.0539 O
0.4432 0.7890 0.5539 O
0.6444 0.3380 0.1731 O
0.9986 0.8326 0.5133 O
0.3618 0.1764 0.7835 O
0.5165 0.6354 0.3700 O
0.2110 0.5568 0.4461 O
0.1382 0.3236 0.2835 O
0.3313 0.3313 0.8708 O
0.8326 0.9986 0.5133 O
0.9432 0.2890 0.9461 O
0.2890 0.9432 0.9461 O
0.3556 0.6620 0.8269 O
0.7082 0.2082 0.2500 O
0.4814 0.8684 0.8976 O
0.1444 0.8380 0.3269 O
0.6354 0.5165 0.3700 O
0.7918 0.2918 0.7500 O
0.9814 0.3684 0.6024 O
0.6687 0.6687 0.1292 O
0.3684 0.9814 0.6024 O
0.4986 0.3326 0.9867 O
0.0014 0.1674 0.4867 O
0.1354 0.0165 0.1300 O
0.2082 0.7082 0.2500 O
0.9835 0.8646 0.8700 O
0.1674 0.0014 0.4867 O
0.5186 0.1316 0.1024 O
0.8618 0.6764 0.7165 O
0.3326 0.4986 0.9867 O
0.6620 0.3556 0.8269 O
0.8313 0.8313 0.6292 O
0.2999 0.4237 0.8029 P
0.0958 0.7156 0.2572 P
0.5763 0.7001 0.1971 P
0.4042 0.7844 0.7572 P
0.7999 0.9237 0.6971 P
0.5958 0.2156 0.2428 P
0.7844 0.4042 0.7572 P
0.2001 0.0763 0.3029 P
0.9237 0.7999 0.6971 P
0.9042 0.2844 0.7428 P
0.2156 0.5958 0.2428 P
0.0763 0.2001 0.3029 P
0.2844 0.9042 0.7428 P
0.7001 0.5763 0.1971 P
0.7156 0.0958 0.2572 P
0.4237 0.2999 0.8029 P
0.8910 0.8910 0.1983 K
0.9080 0.4080 0.2500 K
0.4080 0.9080 0.2500 K
0.3910 0.3910 0.3017 K
0.5920 0.0920 0.7500 K
0.6090 0.6090 0.6983 K
0.0920 0.5920 0.7500 K
0.1090 0.1090 0.8017 K
0.1296 0.3987 0.5258 Li
0.8987 0.6296 0.9742 Li
0.8704 0.6013 0.4742 Li
0.6296 0.8987 0.9742 Li
0.3822 0.6178 0.5000 Li
0.6178 0.3822 0.5000 Li
0.1178 0.8822 0.0000 Li
0.3987 0.1296 0.5258 Li
0.6013 0.8704 0.4742 Li
0.1013 0.3704 0.0258 Li
0.8822 0.1178 0.0000 Li
0.3704 0.1013 0.0258 Li
0.1189 0.8811 0.5000 B
0.3811 0.6189 0.0000 B
0.8811 0.1189 0.5000 B
0.6189 0.3811 0.0000 B
```

Results
Total magnetization, μB/cell: 0.0
Total DFT energy (no corrections), eV/atom: -6.74
Symmetry: Cmce, No. 64

This record from Materials Project describes a relaxed CeMg2 crystal. The functional is PBE-GGA.

```
CeMg2
1.0
1.5706 -2.7203 0.0000
1.5706 2.7203 0.0000
0.0000 0.0000 17.1942
Mg Ce
4 2
Direct
0.6667 0.3333 0.9210 Mg
0.6667 0.3333 0.5790 Mg
0.3333 0.6667 0.4210 Mg
0.3333 0.6667 0.0790 Mg
0.3333 0.6667 0.7500 Ce
0.6667 0.3333 0.2500 Ce
```

Results
Total DFT energy (no corrections), eV/atom: -3.05
Symmetry: P6_3/mmc, No. 194

This record from Materials Project describes a relaxed BaC2S2O6F6 crystal. The functional is PBE-GGA.

```
BaC2S2O6F6
1.0
0.3705 -4.0811 10.6470
1.9992 0.5908 11.2163
-8.6239 2.5272 3.9328
O F S Ba C
12 12 4 2 4
Direct
0.4459 0.6936 0.6061 O
0.1935 0.6983 0.5394 O
0.5541 0.3064 0.3939 O
0.6983 0.1935 0.0394 O
0.6936 0.4459 0.1061 O
0.3064 0.5541 0.8939 O
0.3017 0.8065 0.9606 O
0.2261 0.5978 0.1510 O
0.7739 0.4022 0.8490 O
0.5978 0.2261 0.6510 O
0.8065 0.3017 0.4606 O
0.4022 0.7739 0.3490 O
0.3993 0.9495 0.0430 F
0.1792 0.4080 0.0549 F
0.5312 0.0862 0.1869 F
0.9495 0.3993 0.5430 F
0.0862 0.5312 0.6869 F
0.8208 0.5920 0.9451 F
0.9138 0.4688 0.3131 F
0.6007 0.0505 0.9570 F
0.0505 0.6007 0.4570 F
0.5920 0.8208 0.4451 F
0.4688 0.9138 0.8131 F
0.4080 0.1792 0.5549 F
0.4097 0.4160 0.0352 S
0.4160 0.4097 0.5352 S
0.5840 0.5903 0.4648 S
0.5903 0.5840 0.9648 S
0.9665 0.0335 0.7500 Ba
0.0335 0.9665 0.2500 Ba
0.2288 0.4303 0.5605 C
0.4303 0.2288 0.0605 C
0.5697 0.7712 0.9395 C
0.7712 0.5697 0.4395 C
```

Results
Total magnetization, μB/cell: 0.0
Total DFT energy (no corrections), eV/atom: -5.81
Symmetry: C2/c, No. 15

This record from Materials Project describes a relaxed Mg2Ni3MoS8 crystal. The functional is PBE-GGA.

```
Mg2Ni3MoS8
1.0
6.1458 -0.0004 3.5496
2.0486 5.8517 3.5491
0.0002 -0.0006 7.0989
Mg S Ni Mo
2 8 3 1
Direct
0.1278 0.1167 0.1277 Mg
0.8722 0.8833 0.8723 Mg
0.7070 0.2758 0.2585 S
0.2683 0.6953 0.2682 S
0.2586 0.2759 0.2586 S
0.7317 0.3047 0.7318 S
0.2586 0.2758 0.7070 S
0.2930 0.7242 0.7415 S
0.7414 0.7241 0.7415 S
0.7414 0.7242 0.2930 S
0.0000 0.5000 0.5000 Ni
0.5000 0.5000 0.0000 Ni
0.5000 0.5000 0.5000 Ni
0.5000 0.0000 0.5000 Mo
```

Results
Total magnetization, μB/cell: 3.6
Total DFT energy (no corrections), eV/atom: -5.12
Symmetry: R-3m, No. 166